Entry 1:
SrMg6W | the Materials Project database | GGA-PBE | optimized geometry; ΔE_f = 0.4325 eV/atom; total magnetization = 1.37 Bohr magnetons per cell; polymorph energy (0 for the lowest one) = 2.90 kcal/mol of atoms; energy = -2.599 eV/atom; mass density = 3.7 g cm⁻³
1.0
5.1302 0.0000 0.0000
0.0000 6.4732 0.0000
0.0000 0.0000 11.3152
W Mg Sr
2 12 2
direct
0.5000 0.0000 0.6527 W
0.5000 0.5000 0.1527 W
0.0000 0.0000 0.3325 Mg
0.5000 0.2648 0.9234 Mg
0.0000 0.2285 0.5870 Mg
0.5000 0.2352 0.4234 Mg
0.0000 0.7285 0.0870 Mg
0.0000 0.5000 0.8325 Mg
0.5000 0.0000 0.1639 Mg
0.5000 0.7648 0.4234 Mg
0.5000 0.5000 0.6639 Mg
0.0000 0.7715 0.5870 Mg
0.0000 0.2715 0.0870 Mg
0.5000 0.7352 0.9234 Mg
0.0000 0.5000 0.3303 Sr
0.0000 0.0000 0.8303 Sr


Entry 2:
KIO2 | the Materials Project database | GGA-PBE | optimized geometry; ΔE_f = -0.9985 eV/atom; total magnetization = 0.00 Bohr magnetons per cell; polymorph energy (0 for the lowest one) = 1.83 kcal/mol of atoms; symmetry = I4_1/amd (141); energy = -3.788 eV/atom; mass density = 4.2 g cm⁻³
1.0
-0.0591 -7.8319 2.8131
-7.6547 -2.0112 2.5722
2.7929 3.3512 -7.0870
K O I
4 8 4
direct
0.3750 0.6250 0.7500 K
0.3750 0.6250 0.2500 K
0.3750 0.1250 0.7500 K
0.8750 0.6250 0.2500 K
0.7082 0.4108 0.2974 O
0.6366 0.8392 0.7974 O
0.5892 0.2918 0.7026 O
0.5892 0.8866 0.2974 O
0.0418 0.8392 0.2026 O
0.1134 0.4108 0.7026 O
0.1608 0.3634 0.2026 O
0.1608 0.9582 0.7974 O
0.8750 0.1250 0.7500 I
0.8750 0.6250 0.7500 I
0.3750 0.1250 0.2500 I
0.8750 0.1250 0.2500 I


Entry 3:
YB4Ru4 | the Materials Project database | GGA-PBE | optimized geometry; ΔE_f = -0.4925 eV/atom; total magnetization = 0.03 Bohr magnetons per cell; symmetry = I4_1/acd (142); energy = -8.302 eV/atom; mass density = 8.4 g cm⁻³
1.0
-3.7488 3.7488 7.5307
3.7488 -3.7488 7.5307
3.7488 3.7488 -7.5307
B Ru Y
16 16 4
direct
0.9410 0.2497 0.0276 B
0.7503 0.7779 0.6913 B
0.2221 0.9134 0.9724 B
0.2503 0.5590 0.9724 B
0.9997 0.4721 0.8087 B
0.5866 0.2779 0.0276 B
0.7221 0.7497 0.3087 B
0.8090 0.0003 0.4724 B
0.4410 0.4134 0.6913 B
0.0866 0.0590 0.3087 B
0.5279 0.3366 0.5276 B
0.6634 0.1910 0.1913 B
0.4997 0.6910 0.5276 B
0.0279 0.5003 0.1913 B
0.3090 0.8366 0.8087 B
0.1634 0.9721 0.4724 B
0.4273 0.9598 0.7635 Ru
0.2098 0.1773 0.2635 Ru
0.3362 0.5727 0.5325 Ru
0.0537 0.7902 0.9675 Ru
0.4138 0.6773 0.9675 Ru
0.1963 0.6638 0.2365 Ru
0.3227 0.2902 0.7365 Ru
0.9138 0.9463 0.7365 Ru
0.5537 0.5862 0.2635 Ru
0.6963 0.4598 0.5325 Ru
0.0402 0.8037 0.4675 Ru
0.5402 0.0727 0.2365 Ru
0.9273 0.1638 0.4675 Ru
0.8227 0.0862 0.0325 Ru
0.8362 0.3037 0.7635 Ru
0.7098 0.4463 0.0325 Ru
0.0000 0.5000 0.5000 Y
0.7500 0.7500 0.0000 Y
0.5000 0.0000 0.5000 Y
0.2500 0.2500 0.0000 Y


Entry 4:
La2Te5 | the Materials Project database | GGA-PBE | optimized geometry; ΔE_f = -1.4903 eV/atom; total magnetization = 0.00 Bohr magnetons per cell; symmetry = Cmcm (63); energy = -4.844 eV/atom; mass density = 6.7 g cm⁻³
1.0
2.2412 -22.6968 0.0000
2.2412 22.6968 0.0000
0.0000 0.0000 4.4784
La Te
4 10
direct
0.3071 0.6929 0.7500 La
0.9020 0.0980 0.2500 La
0.0980 0.9020 0.7500 La
0.6929 0.3071 0.2500 La
0.2500 0.7500 0.2500 Te
0.8265 0.1735 0.2500 Te
0.4581 0.5419 0.2500 Te
0.7500 0.2500 0.7500 Te
0.6193 0.3807 0.2500 Te
0.9586 0.0414 0.7500 Te
0.0414 0.9586 0.2500 Te
0.1735 0.8265 0.7500 Te
0.3807 0.6193 0.7500 Te
0.5419 0.4581 0.7500 Te


Entry 5:
Cs2MnBr4 | the Materials Project database | GGA-PBE | optimized geometry; ΔE_f = -1.7314 eV/atom; symmetry = Pnma (62); energy = -3.926 eV/atom; mass density = 3.6 g cm⁻³
1.0
-5.9337 -5.2344 1.1483
4.1327 -2.6696 9.1862
-7.6120 10.0188 6.3361
Br Cs Mn
16 8 4
direct
0.2500 0.4914 0.0933 Br
0.7500 0.1853 0.0891 Br
0.7500 0.0086 0.5933 Br
0.7500 0.6853 0.4109 Br
0.0015 0.6780 0.6545 Br
0.2500 0.9914 0.4067 Br
0.5015 0.3220 0.3455 Br
0.7500 0.5086 0.9067 Br
0.9985 0.3220 0.3455 Br
0.5015 0.8220 0.1545 Br
0.0015 0.1780 0.8455 Br
0.2500 0.8147 0.9109 Br
0.4985 0.6780 0.6545 Br
0.4985 0.1780 0.8455 Br
0.9985 0.8220 0.1545 Br
0.2500 0.3147 0.5891 Br
0.7500 0.3690 0.5962 Cs
0.7500 0.8690 0.9038 Cs
0.7500 0.0197 0.3267 Cs
0.2500 0.4803 0.8267 Cs
0.7500 0.5197 0.1733 Cs
0.2500 0.1310 0.0962 Cs
0.2500 0.6310 0.4038 Cs
0.2500 0.9803 0.6733 Cs
0.2500 0.2286 0.4233 Mn
0.2500 0.7286 0.0767 Mn
0.7500 0.2714 0.9233 Mn
0.7500 0.7714 0.5767 Mn


Entry 6:
Sn4HgB44H124C24N8Cl2 | the Materials Project database | GGA-PBE | optimized geometry; ΔE_f = -0.1733 eV/atom; total magnetization = 0.00 Bohr magnetons per cell; symmetry = I-42m (121); energy = -5.109 eV/atom; mass density = 1.1 g cm⁻³
1.0
-7.8980 -7.8980 10.7553
-7.8980 7.8980 -10.7553
7.8980 -7.8980 -10.7553
H C B N Sn Cl Hg
124 24 44 8 4 2 1
direct
0.7801 0.9799 0.4646 H
0.8655 0.8398 0.2755 H
0.6594 0.2726 0.1370 H
0.2199 0.1998 0.6845 H
0.7357 0.1207 0.9780 H
0.6533 0.0344 0.2062 H
0.8573 0.8793 0.6150 H
0.5447 0.9176 0.2692 H
0.8236 0.3372 0.8984 H
0.6734 0.4997 0.4997 H
0.1718 0.6188 0.9656 H
0.3590 0.8959 0.1630 H
0.0000 0.1737 0.5003 H
0.7687 0.0188 0.6459 H
0.2199 0.6845 0.1998 H
0.2670 0.4631 0.1041 H
0.7801 0.4646 0.9799 H
0.0000 0.5003 0.1737 H
0.4675 0.9663 0.3486 H
0.6484 0.7308 0.2755 H
0.4485 0.5464 0.8021 H
0.8644 0.7274 0.3868 H
0.7687 0.6459 0.0188 H
0.6270 0.7499 0.9812 H
0.7336 0.3874 0.6520 H
0.2643 0.3850 0.2423 H
0.1345 0.4100 0.9743 H
0.1356 0.5224 0.8630 H
0.3406 0.4776 0.6132 H
0.5325 0.4988 0.8811 H
0.6301 0.4291 0.0437 H
0.2557 0.4536 0.9021 H
0.6146 0.5709 0.2010 H
0.3806 0.6670 0.8030 H
0.5447 0.2692 0.9176 H
0.4847 0.8002 0.0201 H
0.5325 0.8811 0.4988 H
0.4357 0.0257 0.1602 H
0.5153 0.5354 0.3155 H
0.5613 0.4865 0.6628 H
0.1360 0.3330 0.7136 H
0.4675 0.3486 0.9663 H
0.2664 0.9184 0.6538 H
0.3516 0.6270 0.0824 H
0.1360 0.7136 0.3330 H
0.2664 0.6538 0.9184 H
0.7330 0.1961 0.8370 H
0.6301 0.0437 0.4291 H
0.8282 0.4470 0.7938 H
0.5613 0.6628 0.4865 H
0.0000 0.8079 0.2482 H
0.4553 0.7245 0.3730 H
0.1764 0.0748 0.5135 H
0.3590 0.1630 0.8959 H
0.3699 0.7990 0.4136 H
0.5643 0.7245 0.5900 H
0.2646 0.6126 0.3462 H
0.2313 0.2501 0.8772 H
0.6484 0.2755 0.7308 H
0.4553 0.3730 0.7245 H
0.8236 0.8984 0.3372 H
0.5483 0.0175 0.0175 H
0.6194 0.4224 0.2864 H
0.4387 0.9252 0.1016 H
0.8640 0.1970 0.5776 H
0.1427 0.0220 0.7577 H
0.6410 0.5369 0.8039 H
0.1356 0.8630 0.5224 H
0.7336 0.6520 0.3874 H
0.3266 0.8263 0.8263 H
0.1345 0.9743 0.4100 H
0.6270 0.9812 0.7499 H
0.3822 0.0337 0.5012 H
0.2557 0.9021 0.4536 H
0.6178 0.1189 0.6514 H
0.2313 0.8772 0.2501 H
0.3467 0.3812 0.5530 H
0.6194 0.2864 0.4224 H
0.3822 0.5012 0.0337 H
0.6410 0.8039 0.5369 H
0.5153 0.3155 0.5354 H
0.4387 0.1016 0.9252 H
0.8644 0.3868 0.7274 H
0.8282 0.7938 0.4470 H
0.3730 0.3541 0.1228 H
0.3854 0.9563 0.5864 H
0.3854 0.5864 0.9563 H
0.0000 0.2482 0.8079 H
0.4847 0.0201 0.8002 H
0.7443 0.6464 0.1979 H
0.5515 0.0979 0.3536 H
0.1764 0.5135 0.0748 H
0.4485 0.8021 0.5464 H
0.8640 0.5776 0.1970 H
0.4403 0.1921 0.1921 H
0.2646 0.3462 0.6126 H
0.3806 0.8030 0.6670 H
0.5643 0.5900 0.7245 H
0.6594 0.1370 0.2726 H
0.7443 0.1979 0.6464 H
0.5597 0.7518 0.7518 H
0.6533 0.2062 0.0344 H
0.1427 0.7577 0.0220 H
0.7354 0.3480 0.0816 H
0.0000 0.5308 0.9825 H
0.3516 0.0824 0.6270 H
0.7357 0.9780 0.1207 H
0.3406 0.6132 0.4776 H
0.4517 0.4692 0.4692 H
0.7330 0.8370 0.1961 H
0.4357 0.1602 0.0257 H
0.3467 0.5530 0.3812 H
0.2670 0.1041 0.4631 H
0.8655 0.2755 0.8398 H
0.6146 0.2010 0.5709 H
0.3699 0.4136 0.7990 H
0.7354 0.0816 0.3480 H
0.6178 0.6514 0.1189 H
0.8573 0.6150 0.8793 H
0.1718 0.9656 0.6188 H
0.5515 0.3536 0.0979 H
0.2643 0.2423 0.3850 H
0.0000 0.9825 0.5308 H
0.3730 0.1228 0.3541 H
0.2082 0.9345 0.5919 C
0.5493 0.3567 0.0264 C
0.3303 0.9736 0.5229 C
0.6574 0.0655 0.2737 C
0.7917 0.7263 0.3837 C
0.4364 0.1647 0.9557 C
0.7917 0.3837 0.7263 C
0.2082 0.5919 0.9345 C
0.6697 0.1927 0.6433 C
0.4507 0.8073 0.4771 C
0.6574 0.2737 0.0655 C
0.7910 0.2716 0.8353 C
0.5636 0.5194 0.7284 C
0.5636 0.7284 0.5194 C
0.6697 0.6433 0.1927 C
0.2090 0.4806 0.0443 C
0.7910 0.8353 0.2716 C
0.3426 0.6163 0.4081 C
0.2090 0.0443 0.4806 C
0.4364 0.9557 0.1647 C
0.3303 0.5229 0.9736 C
0.5493 0.0264 0.3567 C
0.3426 0.4081 0.6163 C
0.4507 0.4771 0.8073 C
0.0835 0.7264 0.0570 B
0.9202 0.6180 0.1605 B
0.6694 0.9430 0.0265 B
0.5182 0.8376 0.9666 B
0.0798 0.2402 0.6977 B
0.3306 0.3571 0.2736 B
0.1289 0.6805 0.1624 B
0.8650 0.6609 0.0549 B
0.9165 0.9735 0.6429 B
0.4331 0.2445 0.2445 B
0.3940 0.3391 0.2041 B
0.1289 0.1624 0.6805 B
0.5749 0.4279 0.4279 B
0.4818 0.3195 0.4484 B
0.8711 0.0334 0.5516 B
0.0000 0.1886 0.7555 B
0.0000 0.5721 0.1471 B
0.6694 0.0265 0.9430 B
0.6060 0.9451 0.8101 B
0.4575 0.8395 0.7598 B
0.1350 0.1899 0.7959 B
0.4442 0.4096 0.4096 B
0.4575 0.7598 0.8395 B
0.4251 0.8529 0.8529 B
0.8711 0.5516 0.0334 B
0.0798 0.6977 0.2402 B
0.6060 0.8101 0.9451 B
0.5425 0.3820 0.3023 B
0.0000 0.5904 0.0346 B
0.5182 0.9666 0.8376 B
0.3940 0.2041 0.3391 B
0.0000 0.0346 0.5904 B
0.0000 0.7555 0.1886 B
0.8650 0.0549 0.6609 B
0.5425 0.3023 0.3820 B
0.0000 0.1471 0.5721 B
0.3306 0.2736 0.3571 B
0.1350 0.7959 0.1899 B
0.5558 0.9654 0.9654 B
0.5669 0.8114 0.8114 B
0.9165 0.6429 0.9735 B
0.9202 0.1605 0.6180 B
0.4818 0.4484 0.3195 B
0.0835 0.0570 0.7264 B
0.4527 0.7192 0.4388 N
0.5473 0.9861 0.2665 N
0.5473 0.2665 0.9861 N
0.7196 0.7335 0.2808 N
0.4527 0.4388 0.7192 N
0.2804 0.5612 0.0139 N
0.2804 0.0139 0.5612 N
0.7196 0.2808 0.7335 N
0.2316 0.1790 0.1790 Sn
0.0000 0.8210 0.0526 Sn
0.7684 0.9474 0.9474 Sn
0.0000 0.0526 0.8210 Sn
0.5000 0.7500 0.2500 Cl
0.5000 0.2500 0.7500 Cl
0.0000 0.0000 0.0000 Hg


Entry 7:
Tb3Ho | the Materials Project database | GGA-PBE | optimized geometry; ΔE_f = 0.0210 eV/atom; symmetry = I4/mmm (139); energy = -4.600 eV/atom; mass density = 8.4 g cm⁻³
1.0
5.2784 3.1694 0.2354
-1.2043 6.0425 0.0071
-2.1760 -4.6378 3.4232
Tb Ho
3 1
direct
0.7500 0.2500 0.5000 Tb
0.2500 0.7500 0.5000 Tb
0.5000 0.5000 0.0000 Tb
0.0000 0.0000 0.0000 Ho


Entry 8:
KAsSe3O | the Materials Project database | GGA-PBE | optimized geometry; ΔE_f = -0.6182 eV/atom; total magnetization = 0.00 Bohr magnetons per cell; symmetry = Cc (9); energy = -4.038 eV/atom; mass density = 3.8 g cm⁻³
1.0
2.6219 10.4767 0.0000
-2.6219 10.4767 0.0000
0.0000 0.0074 11.7354
O K As Se
4 4 4 12
direct
0.6061 0.2811 0.3586 O
0.9054 0.1903 0.0399 O
0.2811 0.6061 0.8586 O
0.1903 0.9054 0.5399 O
0.5341 0.3330 0.0921 K
0.3330 0.5341 0.5921 K
0.6805 0.4642 0.4145 K
0.4642 0.6805 0.9145 K
0.1614 0.2087 0.6630 As
0.7908 0.8365 0.8435 As
0.8365 0.7908 0.3435 As
0.2087 0.1614 0.1630 As
0.6830 0.6879 0.1253 Se
0.8319 0.7687 0.1375 Se
0.0337 0.1004 0.6636 Se
0.2340 0.1707 0.3696 Se
0.1004 0.0337 0.1636 Se
0.2928 0.3430 0.8752 Se
0.9363 0.9243 0.8337 Se
0.1707 0.2340 0.8696 Se
0.7687 0.8319 0.6375 Se
0.9243 0.9363 0.3337 Se
0.3430 0.2928 0.3752 Se
0.6879 0.6830 0.6253 Se


> What is the formula in the seventh record?

Tb3Ho


> Which value of ΔE_f does entry 8 give?

-0.6182 eV/atom


> Which of these has the lowest mass density?

Sn4HgB44H124C24N8Cl2


> What is the formula in the sixth record?

Sn4HgB44H124C24N8Cl2